(1)
{
  "formula": "K3Fe5P6O24",
  "functional": "PBE+U",
  "state": "relaxed",
  "energy_ev_per_atom": -6.887,
  "energy_mp2020_ev_per_cell": -578.95,
  "delta_e_f_kcal_per_mol_atoms": -56.2,
  "space_group": "No. 15",
  "lattice": [[3.2724, -15.7223, 0.0000], [3.2724, 15.7223, 0.0000], [-0.0431, 0.0000, 10.8527]],
  "species": ["K", "K", "K", "K", "K", "K", "Fe", "Fe", "Fe", "Fe", "Fe", "Fe", "Fe", "Fe", "Fe", "Fe", "P", "P", "P", "P", "P", "P", "P", "P", "P", "P", "P", "P", "O", "O", "O", "O", "O", "O", "O", "O", "O", "O", "O", "O", "O", "O", "O", "O", "O", "O", "O", "O", "O", "O", "O", "O", "O", "O", "O", "O", "O", "O", "O", "O", "O", "O", "O", "O", "O", "O", "O", "O", "O", "O", "O", "O", "O", "O", "O", "O"],
  "fractional_positions": [[0.0602, 0.9398, 0.7500], [0.2144, 0.4909, 0.9877], [0.4909, 0.2144, 0.4877], [0.5091, 0.7856, 0.5123], [0.7856, 0.5091, 0.0123], [0.9398, 0.0602, 0.2500], [0.0000, 0.5000, 0.5000], [0.1896, 0.8104, 0.7500], [0.1933, 0.8067, 0.2500], [0.1970, 0.2967, 0.5776], [0.2967, 0.1970, 0.0776], [0.5000, 0.0000, 0.0000], [0.7033, 0.8030, 0.9224], [0.8030, 0.7033, 0.4224], [0.8067, 0.1933, 0.7500], [0.8104, 0.1896, 0.2500], [0.0032, 0.7052, 0.4975], [0.2169, 0.2775, 0.8771], [0.2775, 0.2169, 0.3771], [0.2785, 0.7215, 0.7500], [0.2819, 0.7181, 0.2500], [0.2948, 0.9968, 0.0025], [0.7052, 0.0032, 0.9975], [0.7181, 0.2819, 0.7500], [0.7215, 0.2785, 0.2500], [0.7225, 0.7831, 0.6229], [0.7831, 0.7225, 0.1229], [0.9968, 0.2948, 0.5025], [0.0080, 0.1200, 0.9280], [0.1048, 0.4801, 0.4980], [0.1181, 0.5064, 0.7754], [0.1200, 0.0080, 0.4280], [0.1210, 0.5025, 0.2225], [0.1331, 0.8390, 0.6174], [0.1499, 0.8433, 0.3855], [0.1567, 0.8501, 0.1145], [0.1610, 0.8669, 0.8826], [0.1640, 0.3796, 0.5113], [0.2057, 0.2509, 0.7356], [0.2082, 0.7176, 0.6412], [0.2111, 0.7138, 0.3585], [0.2316, 0.2626, 0.4321], [0.2509, 0.2057, 0.2356], [0.2626, 0.2316, 0.9321], [0.2824, 0.7918, 0.8588], [0.2862, 0.7889, 0.1415], [0.3796, 0.1640, 0.0113], [0.3897, 0.4989, 0.9098], [0.4801, 0.1048, 0.9980], [0.4936, 0.8819, 0.7246], [0.4975, 0.8790, 0.2775], [0.4989, 0.3897, 0.4098], [0.5011, 0.6103, 0.5902], [0.5025, 0.1210, 0.7225], [0.5064, 0.1181, 0.2754], [0.5199, 0.8952, 0.0020], [0.6103, 0.5011, 0.0902], [0.6204, 0.8360, 0.9887], [0.7138, 0.2111, 0.8585], [0.7176, 0.2082, 0.1412], [0.7374, 0.7684, 0.0679], [0.7491, 0.7943, 0.7644], [0.7684, 0.7374, 0.5679], [0.7889, 0.2862, 0.6415], [0.7918, 0.2824, 0.3588], [0.7943, 0.7491, 0.2644], [0.8360, 0.6204, 0.4887], [0.8390, 0.1331, 0.1174], [0.8433, 0.1499, 0.8855], [0.8501, 0.1567, 0.6145], [0.8669, 0.1610, 0.3826], [0.8790, 0.4975, 0.7775], [0.8800, 0.9920, 0.5720], [0.8819, 0.4936, 0.2246], [0.8952, 0.5199, 0.5020], [0.9920, 0.8800, 0.0720]]
}

***

(2)
{
  "formula": "K2FeP2O7",
  "functional": "PBE+U",
  "state": "relaxed",
  "energy_ev_per_atom": -6.567,
  "energy_mp2020_ev_per_cell": -343.47,
  "delta_e_f_kcal_per_mol_atoms": -57.1,
  "lattice": [[2.3287, -4.0195, 9.2767], [-10.3385, 0.4202, -0.7734], [-3.6724, -9.6231, 1.2545]],
  "species": ["K", "K", "K", "K", "K", "K", "K", "K", "Fe", "Fe", "Fe", "Fe", "P", "P", "P", "P", "P", "P", "P", "P", "O", "O", "O", "O", "O", "O", "O", "O", "O", "O", "O", "O", "O", "O", "O", "O", "O", "O", "O", "O", "O", "O", "O", "O", "O", "O", "O", "O"],
  "fractional_positions": [[0.5681, 0.3561, 0.5754], [0.0683, 0.3564, 0.0755], [0.5754, 0.1439, 0.0681], [0.0755, 0.1435, 0.5685], [0.0682, 0.6436, 0.7881], [0.5684, 0.6439, 0.2880], [0.7880, 0.8563, 0.5683], [0.2880, 0.8562, 0.0684], [0.9999, 0.4998, 0.5000], [0.4998, 0.9999, 0.5000], [0.5000, 0.5001, 0.0001], [0.0000, 0.0000, 0.0000], [0.6901, 0.3743, 0.1842], [0.1902, 0.3744, 0.6841], [0.6840, 0.1255, 0.6902], [0.1840, 0.1257, 0.1903], [0.4416, 0.6256, 0.6841], [0.9416, 0.6257, 0.1840], [0.1842, 0.8743, 0.4415], [0.6843, 0.8744, 0.9415], [0.2643, 0.5000, 0.7357], [0.7643, 0.5001, 0.2356], [0.7357, 0.0000, 0.7642], [0.2357, 0.0000, 0.2643], [0.8227, 0.3746, 0.0522], [0.3227, 0.3749, 0.5518], [0.5517, 0.1250, 0.8227], [0.0520, 0.1254, 0.3229], [0.5733, 0.6250, 0.5522], [0.0733, 0.6255, 0.0518], [0.0521, 0.8747, 0.5733], [0.5523, 0.8749, 0.0732], [0.8407, 0.2795, 0.5866], [0.3408, 0.2796, 0.0866], [0.5864, 0.2204, 0.3410], [0.0867, 0.2204, 0.8407], [0.1339, 0.7204, 0.4386], [0.6339, 0.7205, 0.9388], [0.4390, 0.7796, 0.6336], [0.9387, 0.7796, 0.1339], [0.4387, 0.5727, 0.8409], [0.9389, 0.5727, 0.3407], [0.3410, 0.9274, 0.4385], [0.8411, 0.9275, 0.9384], [0.5865, 0.4273, 0.1339], [0.0864, 0.4274, 0.6341], [0.6339, 0.0725, 0.5865], [0.1336, 0.0727, 0.0867]]
}

***

(3)
{
  "formula": "K3Fe2P3O12",
  "functional": "PBE+U",
  "state": "relaxed",
  "energy_ev_per_atom": -6.643,
  "energy_mp2020_ev_per_cell": -582.47,
  "delta_e_f_kcal_per_mol_atoms": -57.3,
  "space_group": "No. 15",
  "lattice": [[8.2722, -4.8073, 0.0000], [8.2722, 4.8073, 0.0000], [-8.0996, 0.0000, 14.9258]],
  "species": ["K", "K", "K", "K", "K", "K", "K", "K", "K", "K", "K", "K", "Fe", "Fe", "Fe", "Fe", "Fe", "Fe", "Fe", "Fe", "P", "P", "P", "P", "P", "P", "P", "P", "P", "P", "P", "P", "O", "O", "O", "O", "O", "O", "O", "O", "O", "O", "O", "O", "O", "O", "O", "O", "O", "O", "O", "O", "O", "O", "O", "O", "O", "O", "O", "O", "O", "O", "O", "O", "O", "O", "O", "O", "O", "O", "O", "O", "O", "O", "O", "O", "O", "O", "O", "O"],
  "fractional_positions": [[0.0000, 0.5000, 0.0000], [0.0294, 0.8108, 0.3204], [0.1634, 0.4265, 0.4192], [0.1892, 0.9706, 0.1796], [0.2248, 0.7752, 0.7500], [0.4265, 0.1634, 0.9192], [0.5000, 0.0000, 0.5000], [0.5735, 0.8366, 0.0808], [0.7752, 0.2248, 0.2500], [0.8108, 0.0294, 0.8204], [0.8366, 0.5735, 0.5808], [0.9706, 0.1892, 0.6796], [0.2230, 0.7116, 0.9659], [0.2884, 0.7770, 0.5341], [0.3095, 0.3328, 0.1762], [0.3328, 0.3095, 0.6762], [0.6672, 0.6905, 0.3238], [0.6905, 0.6672, 0.8238], [0.7116, 0.2230, 0.4659], [0.7770, 0.2884, 0.0341], [0.0766, 0.5365, 0.8099], [0.1005, 0.1513, 0.4814], [0.1513, 0.1005, 0.9814], [0.4600, 0.5112, 0.1220], [0.4635, 0.9234, 0.6901], [0.4888, 0.5400, 0.3780], [0.5112, 0.4600, 0.6220], [0.5365, 0.0766, 0.3099], [0.5400, 0.4888, 0.8780], [0.8487, 0.8995, 0.0186], [0.8995, 0.8487, 0.5186], [0.9234, 0.4635, 0.1901], [0.0305, 0.7796, 0.0129], [0.0564, 0.7956, 0.4888], [0.0597, 0.1657, 0.3874], [0.0634, 0.7161, 0.8302], [0.0949, 0.4639, 0.2024], [0.1240, 0.4191, 0.7205], [0.1657, 0.0597, 0.8874], [0.1918, 0.2702, 0.5519], [0.2044, 0.9436, 0.0112], [0.2048, 0.4767, 0.8943], [0.2204, 0.9695, 0.4871], [0.2702, 0.1918, 0.0519], [0.2839, 0.9366, 0.6698], [0.3168, 0.4791, 0.1233], [0.3384, 0.6209, 0.4178], [0.3477, 0.5719, 0.5682], [0.3791, 0.6616, 0.0822], [0.4191, 0.1240, 0.2205], [0.4251, 0.4475, 0.7840], [0.4281, 0.6523, 0.9318], [0.4475, 0.4251, 0.2840], [0.4639, 0.0949, 0.7024], [0.4767, 0.2048, 0.3943], [0.4791, 0.3168, 0.6233], [0.5209, 0.6832, 0.3767], [0.5233, 0.7952, 0.6057], [0.5361, 0.9051, 0.2976], [0.5525, 0.5749, 0.7160], [0.5719, 0.3477, 0.0682], [0.5749, 0.5525, 0.2160], [0.5809, 0.8760, 0.7795], [0.6209, 0.3384, 0.9178], [0.6523, 0.4281, 0.4318], [0.6616, 0.3791, 0.5822], [0.6832, 0.5209, 0.8767], [0.7161, 0.0634, 0.3302], [0.7298, 0.8082, 0.9481], [0.7796, 0.0305, 0.5129], [0.7952, 0.5233, 0.1057], [0.7956, 0.0564, 0.9888], [0.8082, 0.7298, 0.4481], [0.8343, 0.9403, 0.1126], [0.8760, 0.5809, 0.2795], [0.9051, 0.5361, 0.7976], [0.9366, 0.2839, 0.1698], [0.9403, 0.8343, 0.6126], [0.9436, 0.2044, 0.5112], [0.9695, 0.2204, 0.9871]]
}

***

(4)
{
  "formula": "KFe3P2O12",
  "functional": "PBE+U",
  "state": "relaxed",
  "energy_ev_per_atom": -6.351,
  "energy_mp2020_ev_per_cell": -258.67,
  "delta_e_f_kcal_per_mol_atoms": -41.8,
  "space_group": "No. 26",
  "lattice": [[6.3798, 0.0000, 0.0000], [0.0000, 7.4181, 0.0000], [0.0000, 0.0000, 10.0623]],
  "species": ["K", "K", "Fe", "Fe", "Fe", "Fe", "Fe", "Fe", "P", "P", "P", "P", "O", "O", "O", "O", "O", "O", "O", "O", "O", "O", "O", "O", "O", "O", "O", "O", "O", "O", "O", "O", "O", "O", "O", "O"],
  "fractional_positions": [[0.0000, 0.0320, 0.0000], [0.0000, 0.9680, 0.5000], [0.2618, 0.4621, 0.4617], [0.2618, 0.5379, 0.9617], [0.5000, 0.1985, 0.7313], [0.5000, 0.8015, 0.2313], [0.7382, 0.4621, 0.4617], [0.7382, 0.5379, 0.9617], [0.0000, 0.3182, 0.7247], [0.0000, 0.6818, 0.2247], [0.5000, 0.1910, 0.0466], [0.5000, 0.8090, 0.5466], [0.0000, 0.4287, 0.5919], [0.0000, 0.4417, 0.8517], [0.0000, 0.5583, 0.3517], [0.0000, 0.5713, 0.0919], [0.1936, 0.1957, 0.7297], [0.1936, 0.8043, 0.2297], [0.2197, 0.2537, 0.3892], [0.2197, 0.7463, 0.8892], [0.2987, 0.3115, 0.0574], [0.2987, 0.6885, 0.5574], [0.5000, 0.0506, 0.1559], [0.5000, 0.0938, 0.9109], [0.5000, 0.3551, 0.5670], [0.5000, 0.4542, 0.8452], [0.5000, 0.5458, 0.3452], [0.5000, 0.6449, 0.0670], [0.5000, 0.9062, 0.4109], [0.5000, 0.9494, 0.6559], [0.7013, 0.3115, 0.0574], [0.7013, 0.6885, 0.5574], [0.7803, 0.2537, 0.3892], [0.7803, 0.7463, 0.8892], [0.8064, 0.1957, 0.7297], [0.8064, 0.8043, 0.2297]]
}

***

(5)
{
  "formula": "K7Rb5Fe4O10",
  "functional": "PBE+U",
  "state": "relaxed",
  "energy_ev_per_atom": -4.550,
  "energy_mp2020_ev_per_cell": -134.20,
  "delta_e_f_kcal_per_mol_atoms": -33.9,
  "space_group": "No. 1",
  "lattice": [[7.0144, 0.0000, 0.0000], [3.4951, 9.0717, 0.0000], [3.4944, 1.5302, 8.9477]],
  "species": ["K", "K", "K", "K", "K", "K", "K", "Rb", "Rb", "Rb", "Rb", "Rb", "Fe", "Fe", "Fe", "Fe", "O", "O", "O", "O", "O", "O", "O", "O", "O", "O"],
  "fractional_positions": [[0.0000, 0.0000, 0.0000], [0.0001, 0.4803, 0.5195], [0.2469, 0.7727, 0.7322], [0.2488, 0.2117, 0.2907], [0.5001, 0.9806, 0.0194], [0.7471, 0.7127, 0.7917], [0.7490, 0.2711, 0.2307], [0.0011, 0.8985, 0.4169], [0.4929, 0.0841, 0.6050], [0.4989, 0.4986, 0.5021], [0.5005, 0.3975, 0.9185], [0.9925, 0.5856, 0.1039], [0.1079, 0.3341, 0.8554], [0.3993, 0.6447, 0.1620], [0.6106, 0.8353, 0.3527], [0.9018, 0.1421, 0.6633], [0.0401, 0.2271, 0.7457], [0.1487, 0.5232, 0.7641], [0.1570, 0.2376, 0.0416], [0.3361, 0.4632, 0.2624], [0.3364, 0.7456, 0.9808], [0.5397, 0.7301, 0.2427], [0.6573, 0.0226, 0.2576], [0.6578, 0.7407, 0.5400], [0.8368, 0.9619, 0.7655], [0.8449, 0.2392, 0.4799]]
}

***

(6)
{
  "formula": "K2Fe3S6O38",
  "functional": "PBE+U",
  "state": "relaxed",
  "energy_ev_per_atom": -5.076,
  "energy_mp2020_ev_per_cell": -563.24,
  "delta_e_f_kcal_per_mol_atoms": -19.4,
  "space_group": "No. 176",
  "lattice": [[9.7141, 0.0000, 0.0000], [-4.8570, 8.4126, 0.0000], [0.0000, 0.0000, 19.1179]],
  "species": ["K", "K", "K", "K", "Fe", "Fe", "Fe", "Fe", "Fe", "Fe", "S", "S", "S", "S", "S", "S", "S", "S", "S", "S", "S", "S", "O", "O", "O", "O", "O", "O", "O", "O", "O", "O", "O", "O", "O", "O", "O", "O", "O", "O", "O", "O", "O", "O", "O", "O", "O", "O", "O", "O", "O", "O", "O", "O", "O", "O", "O", "O", "O", "O", "O", "O", "O", "O", "O", "O", "O", "O", "O", "O", "O", "O", "O", "O", "O", "O", "O", "O", "O", "O", "O", "O", "O", "O", "O", "O", "O", "O", "O", "O", "O", "O", "O", "O", "O", "O", "O", "O"],
  "fractional_positions": [[0.0000, 0.0000, 0.0000], [0.0000, 0.0000, 0.5000], [0.3333, 0.6667, 0.2500], [0.6667, 0.3333, 0.7500], [0.0403, 0.2205, 0.7500], [0.1802, 0.9597, 0.7500], [0.2205, 0.1802, 0.2500], [0.7795, 0.8198, 0.7500], [0.8198, 0.0403, 0.2500], [0.9597, 0.7795, 0.2500], [0.0573, 0.3222, 0.1395], [0.0573, 0.3222, 0.3605], [0.2649, 0.9427, 0.1395], [0.2649, 0.9427, 0.3605], [0.3222, 0.2649, 0.6395], [0.3222, 0.2649, 0.8605], [0.6778, 0.7351, 0.1395], [0.6778, 0.7351, 0.3605], [0.7351, 0.0573, 0.6395], [0.7351, 0.0573, 0.8605], [0.9427, 0.6778, 0.6395], [0.9427, 0.6778, 0.8605], [0.0000, 0.0000, 0.2500], [0.0000, 0.0000, 0.7500], [0.0520, 0.2774, 0.0664], [0.0520, 0.2774, 0.4336], [0.0856, 0.4841, 0.1494], [0.0856, 0.4841, 0.3506], [0.0929, 0.4622, 0.7500], [0.0984, 0.7944, 0.6740], [0.0984, 0.7944, 0.8260], [0.1210, 0.8108, 0.1763], [0.1210, 0.8108, 0.3237], [0.1439, 0.5010, 0.5589], [0.1439, 0.5010, 0.9411], [0.1892, 0.3103, 0.1763], [0.1892, 0.3103, 0.3237], [0.2056, 0.3041, 0.6740], [0.2056, 0.3041, 0.8260], [0.2254, 0.9480, 0.0664], [0.2254, 0.9480, 0.4336], [0.2774, 0.2254, 0.5664], [0.2774, 0.2254, 0.9336], [0.3041, 0.0984, 0.1740], [0.3041, 0.0984, 0.3260], [0.3103, 0.1210, 0.6763], [0.3103, 0.1210, 0.8237], [0.3333, 0.6667, 0.0001], [0.3333, 0.6667, 0.4999], [0.3333, 0.6667, 0.6195], [0.3333, 0.6667, 0.8805], [0.3570, 0.8561, 0.5589], [0.3570, 0.8561, 0.9411], [0.3693, 0.9071, 0.7500], [0.3985, 0.9144, 0.1494], [0.3985, 0.9144, 0.3506], [0.4622, 0.3693, 0.2500], [0.4841, 0.3985, 0.6494], [0.4841, 0.3985, 0.8506], [0.4990, 0.6430, 0.5589], [0.4990, 0.6430, 0.9411], [0.5010, 0.3570, 0.0589], [0.5010, 0.3570, 0.4411], [0.5159, 0.6015, 0.1494], [0.5159, 0.6015, 0.3506], [0.5378, 0.6307, 0.7500], [0.6015, 0.0856, 0.6494], [0.6015, 0.0856, 0.8506], [0.6307, 0.0929, 0.2500], [0.6430, 0.1439, 0.0589], [0.6430, 0.1439, 0.4411], [0.6667, 0.3333, 0.9999], [0.6667, 0.3333, 0.1195], [0.6667, 0.3333, 0.3805], [0.6667, 0.3333, 0.5001], [0.6897, 0.8790, 0.1763], [0.6897, 0.8790, 0.3237], [0.6959, 0.9016, 0.6740], [0.6959, 0.9016, 0.8260], [0.7226, 0.7746, 0.0664], [0.7226, 0.7746, 0.4336], [0.7746, 0.0520, 0.5664], [0.7746, 0.0520, 0.9336], [0.7944, 0.6959, 0.1740], [0.7944, 0.6959, 0.3260], [0.8108, 0.6897, 0.6763], [0.8108, 0.6897, 0.8237], [0.8561, 0.4990, 0.0589], [0.8561, 0.4990, 0.4411], [0.8790, 0.1892, 0.6763], [0.8790, 0.1892, 0.8237], [0.9016, 0.2056, 0.1740], [0.9016, 0.2056, 0.3260], [0.9071, 0.5378, 0.2500], [0.9144, 0.5159, 0.6494], [0.9144, 0.5159, 0.8506], [0.9480, 0.7226, 0.5664], [0.9480, 0.7226, 0.9336]]
}